The following is a meta-GGA r2SCAN calculation of a geometry-optimized Pr9Ga5S21 structure, from the Materials Project database.

Output
Space group   No. 146
ρ   4.7 Mg/m³
Volume   23.16 A^3/atom
Formation energy   -1.8203 eV per atom
Size of the total moment   0.0 Bohr magnetons per cell

Cell lengths 11.796, 11.796, 11.796 Å; angles 95.04, 95.04, 95.04 degrees
Element x y z (fractional)
S  0.944  0.039  0.794
S  0.071  0.482  0.966
S  0.039  0.794  0.944
S  0.674  0.007  0.346
S  0.310  0.553  0.408
S  0.236  0.092  0.993
S  0.481  0.619  0.725
S  0.667  0.897  0.761
S  0.389  0.817  0.301
S  0.619  0.725  0.481
S  0.110  0.696  0.212
S  0.696  0.212  0.110
S  0.301  0.389  0.817
S  0.993  0.236  0.092
S  0.359  0.874  0.786
S  0.346  0.674  0.007
S  0.794  0.944  0.039
S  0.212  0.110  0.696
S  0.547  0.451  0.012
S  0.553  0.408  0.310
S  0.165  0.633  0.725
S  0.817  0.301  0.389
S  0.897  0.761  0.667
S  0.012  0.547  0.451
S  0.092  0.993  0.236
S  0.379  0.150  0.286
S  0.874  0.786  0.359
S  0.150  0.286  0.379
S  0.633  0.725  0.165
S  0.451  0.012  0.547
S  0.007  0.346  0.674
S  0.510  0.171  0.846
S  0.966  0.071  0.482
S  0.725  0.165  0.633
S  0.171  0.846  0.510
S  0.482  0.966  0.071
S  0.408  0.310  0.553
S  0.286  0.379  0.150
S  0.761  0.667  0.897
S  0.786  0.359  0.874
S  0.725  0.481  0.619
S  0.846  0.510  0.171
Pr  0.743  0.116  0.885
Pr  0.771  0.552  0.393
Pr  0.393  0.771  0.552
Pr  0.211  0.437  0.585
Pr  0.437  0.585  0.211
Pr  0.585  0.211  0.437
Pr  0.557  0.782  0.933
Pr  0.080  0.456  0.228
Pr  0.101  0.250  0.872
Pr  0.250  0.872  0.101
Pr  0.456  0.228  0.080
Pr  0.885  0.743  0.116
Pr  0.782  0.933  0.557
Pr  0.872  0.101  0.250
Pr  0.228  0.080  0.456
Pr  0.933  0.557  0.782
Pr  0.116  0.885  0.743
Pr  0.552  0.393  0.771
Ga  0.852  0.852  0.852
Ga  0.391  0.049  0.723
Ga  0.644  0.644  0.644
Ga  0.145  0.145  0.145
Ga  0.723  0.391  0.049
Ga  0.551  0.885  0.228
Ga  0.351  0.351  0.351
Ga  0.228  0.551  0.885
Ga  0.049  0.723  0.391
Ga  0.885  0.228  0.551

=====

The following is a meta-GGA r2SCAN calculation of a geometry-optimized AcSe3 structure, from the Materials Project database.

Output
Space group   No. 194
ρ   7.4 Mg/m³
Volume   26.04 A^3/atom
Formation energy   -1.2069 eV per atom
Size of the total moment   0.0 Bohr magnetons per cell

Cell lengths 6.241, 6.241, 6.174 Å; angles 90.00, 90.00, 120.00 degrees
Element x y z (fractional)
Se  0.348  0.174  0.750
Se  0.826  0.174  0.750
Se  0.826  0.652  0.750
Se  0.174  0.826  0.250
Se  0.174  0.348  0.250
Se  0.652  0.826  0.250
Ac  0.333  0.667  0.750
Ac  0.667  0.333  0.250

=====

The following is a meta-GGA r2SCAN calculation of a geometry-optimized WBr2 structure, from the Materials Project database.

Output
Space group   No. 64
ρ   6.2 Mg/m³
Volume   30.84 A^3/atom
Formation energy   -0.5761 eV per atom
Size of the total moment   0.0 Bohr magnetons per cell

Cell lengths 9.781, 9.781, 11.983 Å; angles 90.00, 90.00, 104.43 degrees
Element x y z (fractional)
Br  0.692  0.451  0.290
Br  0.330  0.089  0.929
Br  0.846  0.846  0.346
Br  0.654  0.654  0.846
Br  0.808  0.049  0.790
Br  0.154  0.154  0.654
Br  0.346  0.346  0.154
Br  0.830  0.589  0.571
Br  0.549  0.308  0.710
Br  0.170  0.411  0.429
Br  0.214  0.786  0.500
Br  0.308  0.549  0.710
Br  0.589  0.830  0.571
Br  0.049  0.808  0.790
Br  0.192  0.951  0.210
Br  0.951  0.192  0.210
Br  0.670  0.911  0.071
Br  0.714  0.286  0.000
Br  0.451  0.692  0.290
Br  0.786  0.214  0.500
Br  0.286  0.714  0.000
Br  0.911  0.670  0.071
Br  0.411  0.170  0.429
Br  0.089  0.330  0.929
W  0.931  0.931  0.139
W  0.069  0.069  0.861
W  0.639  0.639  0.431
W  0.861  0.861  0.931
W  0.139  0.139  0.069
W  0.879  0.121  0.000
W  0.621  0.379  0.500
W  0.121  0.879  0.000
W  0.569  0.569  0.639
W  0.379  0.621  0.500
W  0.361  0.361  0.569
W  0.431  0.431  0.361

=====

The following is a meta-GGA r2SCAN calculation of a geometry-optimized LaNi3Rh2 structure, from the Materials Project database.

Output
Space group   No. 65
ρ   9.4 Mg/m³
Volume   15.27 A^3/atom
Formation energy   -0.3373 eV per atom
Size of the total moment   0.7 Bohr magnetons per cell

Cell lengths 5.075, 5.075, 3.987 Å; angles 90.00, 90.00, 116.89 degrees
Element x y z (fractional)
Rh  0.000  0.500  0.500
Rh  0.500  0.000  0.500
Ni  0.844  0.156  0.000
Ni  0.000  0.000  0.500
Ni  0.156  0.844  0.000
La  0.500  0.500  0.000

=====

The following is a meta-GGA r2SCAN calculation of a geometry-optimized ErSi2Rh2 structure, from the Materials Project database.

Output
Space group   No. 139
ρ   8.9 Mg/m³
Volume   16.02 A^3/atom
Formation energy   -1.1883 eV per atom
Size of the total moment   0.0 Bohr magnetons per cell

Cell lengths 4.023, 4.023, 5.710 Å; angles 110.63, 110.63, 90.04 degrees
Element x y z (fractional)
Rh  0.250  0.750  0.500
Rh  0.750  0.250  0.500
Si  0.621  0.621  0.243
Si  0.379  0.379  0.757
Er  0.000  0.000  0.000

=====

The following is a meta-GGA r2SCAN calculation of a geometry-optimized Rb4PbO4 structure, from the Materials Project database.

Output
Space group   No. 14
ρ   4.8 Mg/m³
Volume   23.44 A^3/atom
Formation energy   -1.3654 eV per atom
Size of the total moment   0.0 Bohr magnetons per cell

Cell lengths 19.378, 6.864, 6.894 Å; angles 66.93, 90.00, 90.00 degrees
Element x y z (fractional)
O  0.807  0.580  0.446
O  0.904  0.987  0.428
O  0.193  0.420  0.554
O  0.326  0.487  0.018
O  0.307  0.920  0.554
O  0.044  0.370  0.796
O  0.404  0.513  0.572
O  0.596  0.487  0.428
O  0.544  0.130  0.204
O  0.174  0.987  0.018
O  0.456  0.870  0.796
O  0.096  0.013  0.572
O  0.826  0.013  0.982
O  0.693  0.080  0.446
O  0.674  0.513  0.982
O  0.956  0.630  0.204
Rb  0.283  0.693  0.288
Rb  0.192  0.683  0.802
Rb  0.514  0.248  0.777
Rb  0.717  0.307  0.712
Rb  0.692  0.817  0.198
Rb  0.084  0.727  0.354
Rb  0.986  0.748  0.777
Rb  0.584  0.773  0.646
Rb  0.416  0.227  0.354
Rb  0.916  0.273  0.646
Rb  0.014  0.252  0.223
Rb  0.808  0.317  0.198
Rb  0.217  0.193  0.288
Rb  0.783  0.807  0.712
Rb  0.486  0.752  0.223
Rb  0.308  0.183  0.802
Pb  0.877  0.809  0.254
Pb  0.623  0.309  0.254
Pb  0.377  0.691  0.746
Pb  0.123  0.191  0.746

=====

The following is a meta-GGA r2SCAN calculation of a geometry-optimized Li6Hf2O7 structure, from the Materials Project database.

Output
Space group   No. 14
ρ   5.6 Mg/m³
Volume   10.09 A^3/atom
Formation energy   -2.8980 eV per atom
Size of the total moment   0.0 Bohr magnetons per cell

Cell lengths 5.968, 5.277, 10.236 Å; angles 69.95, 90.00, 90.00 degrees
Element x y z (fractional)
O  0.722  0.481  0.763
O  0.008  0.960  0.255
O  0.222  0.519  0.737
O  0.000  0.500  0.000
O  0.266  0.010  0.497
O  0.278  0.519  0.237
O  0.778  0.481  0.263
O  0.766  0.990  0.003
O  0.500  0.500  0.500
O  0.734  0.990  0.503
O  0.508  0.040  0.245
O  0.492  0.960  0.755
O  0.992  0.040  0.745
O  0.234  0.010  0.997
Li  0.765  0.785  0.862
Li  0.495  0.840  0.124
Li  0.265  0.215  0.638
Li  0.735  0.785  0.362
Li  0.235  0.215  0.138
Li  0.505  0.160  0.876
Li  0.780  0.207  0.143
Li  0.220  0.793  0.857
Li  0.995  0.160  0.376
Li  0.280  0.793  0.357
Li  0.005  0.840  0.624
Li  0.720  0.207  0.643
Hf  0.994  0.271  0.867
Hf  0.006  0.729  0.133
Hf  0.506  0.271  0.367
Hf  0.494  0.729  0.633

=====

The following is a meta-GGA r2SCAN calculation of a geometry-optimized TlPdPb structure, from the Materials Project database.

Output
Space group   No. 69
ρ   12.4 Mg/m³
Volume   23.19 A^3/atom
Formation energy   -0.1824 eV per atom
Size of the total moment   0.0 Bohr magnetons per cell

Cell lengths 6.840, 5.767, 5.590 Å; angles 74.04, 54.16, 51.80 degrees
Element x y z (fractional)
Tl  0.667  0.333  0.667
Tl  0.333  0.667  0.333
Pb  0.163  0.163  0.837
Pb  0.837  0.837  0.163
Pd  0.750  0.750  0.750
Pd  0.250  0.250  0.250

=====

The following is a meta-GGA r2SCAN calculation of a geometry-optimized Zn3Ni structure, from the Materials Project database.

Output
Space group   No. 194
ρ   8.4 Mg/m³
Volume   12.61 A^3/atom
Formation energy   -0.1589 eV per atom
Size of the total moment   0.0 Bohr magnetons per cell

Cell lengths 5.244, 5.244, 4.236 Å; angles 90.00, 90.00, 120.00 degrees
Element x y z (fractional)
Zn  0.829  0.659  0.750
Zn  0.829  0.171  0.750
Zn  0.341  0.171  0.750
Zn  0.171  0.829  0.250
Zn  0.171  0.341  0.250
Zn  0.659  0.829  0.250
Ni  0.667  0.333  0.250
Ni  0.333  0.667  0.750

=====

The following is a meta-GGA r2SCAN calculation of a geometry-optimized Li9Mn2Co5O16 structure, from the Materials Project database.

Output
Space group   No. 1
ρ   4.7 Mg/m³
Volume   8.01 A^3/atom
Formation energy   -1.9477 eV per atom
Size of the total moment   6.0 Bohr magnetons per cell
Energy above the most stable polymorph in this dataset   11 meV/atom

Cell lengths 4.872, 5.689, 9.803 Å; angles 89.19, 99.52, 106.71 degrees
Element x y z (fractional)
Li  0.004  0.498  0.994
Li  0.998  0.255  0.741
Li  0.997  0.253  0.259
Li  0.503  0.125  0.384
Li  0.506  0.877  0.621
Li  0.003  0.739  0.740
Li  0.481  0.616  0.862
Li  0.000  0.009  0.508
Li  0.503  0.382  0.130
Co  0.001  0.750  0.252
Co  0.500  0.875  0.126
Co  0.500  0.374  0.625
Co  0.001  0.499  0.502
Co  0.500  0.625  0.376
O  0.277  0.075  0.697
O  0.251  0.286  0.942
O  0.251  0.554  0.675
O  0.261  0.589  0.195
O  0.750  0.208  0.561
O  0.723  0.418  0.811
O  0.760  0.711  0.071
O  0.747  0.168  0.056
O  0.241  0.041  0.180
O  0.750  0.947  0.829
O  0.239  0.790  0.428
O  0.739  0.914  0.303
O  0.252  0.832  0.945
O  0.740  0.663  0.554
O  0.760  0.462  0.319
O  0.262  0.337  0.446
Mn  0.999  0.000  0.999
Mn  0.500  0.130  0.868

=====

The following is a meta-GGA r2SCAN calculation of a geometry-optimized H structure, from the Materials Project database.

Output
Space group   No. 19
ρ   0.0 Mg/m³
Volume   46.48 A^3/atom
Formation energy   0.0000 eV per atom
Size of the total moment   0.0 Bohr magnetons per cell
Energy above the most stable polymorph in this dataset   0 meV/atom

Cell lengths 7.177, 7.187, 7.208 Å; angles 90.00, 90.00, 90.00 degrees
Element x y z (fractional)
H  0.866  0.778  0.353
H  0.145  0.351  0.220
H  0.355  0.649  0.720
H  0.645  0.149  0.780
H  0.366  0.722  0.647
H  0.634  0.222  0.853
H  0.134  0.278  0.147
H  0.855  0.851  0.280

=====

The following is a meta-GGA r2SCAN calculation of a geometry-optimized NdAlSi structure, from the Materials Project database.

Output
Space group   No. 187
ρ   5.1 Mg/m³
Volume   21.72 A^3/atom
Formation energy   -0.7240 eV per atom
Size of the total moment   0.0 Bohr magnetons per cell

Cell lengths 4.211, 4.211, 4.244 Å; angles 90.00, 90.00, 120.00 degrees
Element x y z (fractional)
Nd  0.333  0.667  0.000
Al  0.000  0.000  0.500
Si  0.667  0.333  0.500